Entry 1:
Material: LiVFeO4
Method: DFT, PBE with a Hubbard U
State: optimized geometry

abc: 5.9531 5.9531 8.3208
angles: 90.00 90.00 90.00
Closest atoms and distances in Å follow each position.
Positions (direct):
Li 0.0000 0.2332 0.0000  6 O 2.05-2.20
Li 0.0000 0.7668 0.5000  6 O 2.05-2.20
Li 0.2332 0.0000 0.2500  6 O 2.05-2.20
Li 0.7668 0.0000 0.7500  6 O 2.05-2.20
V 0.2292 0.5000 0.2500  6 O 1.87-2.06
V 0.5000 0.2292 0.0000  6 O 1.87-2.06
V 0.5000 0.7708 0.5000  6 O 1.87-2.06
V 0.7708 0.5000 0.7500  6 O 1.87-2.06
Fe 0.2565 0.2565 0.6250  4 O 1.90-1.93
Fe 0.2565 0.7435 0.8750  4 O 1.90-1.93
Fe 0.7435 0.2565 0.3750  4 O 1.90-1.93
Fe 0.7435 0.7435 0.1250  4 O 1.90-1.93
O 0.0172 0.2689 0.2588  1 V 1.87, 1 Fe 1.90, 1 Li 2.05
O 0.0172 0.7311 0.2412  1 V 1.87, 1 Fe 1.90, 1 Li 2.05
O 0.2681 0.4861 0.0156  1 Fe 1.93, 2 V 1.97-2.06
O 0.2681 0.5139 0.4844  1 Fe 1.93, 2 V 1.97-2.06
O 0.2689 0.0172 0.9912  1 V 1.87, 1 Fe 1.90, 1 Li 2.05
O 0.2689 0.9828 0.5088  1 V 1.87, 1 Fe 1.90, 1 Li 2.05
O 0.4861 0.2681 0.2344  1 Fe 1.93, 2 V 1.97-2.06
O 0.4861 0.7319 0.2656  1 Fe 1.93, 2 V 1.97-2.06
O 0.5139 0.2681 0.7656  1 Fe 1.93, 2 V 1.97-2.06
O 0.5139 0.7319 0.7344  1 Fe 1.93, 2 V 1.97-2.06
O 0.7311 0.0172 0.0088  1 V 1.87, 1 Fe 1.90, 1 Li 2.05
O 0.7311 0.9828 0.4912  1 V 1.87, 1 Fe 1.90, 1 Li 2.05
O 0.7319 0.4861 0.9844  1 Fe 1.93, 2 V 1.97-2.06
O 0.7319 0.5139 0.5156  1 Fe 1.93, 2 V 1.97-2.06
O 0.9828 0.2689 0.7412  1 V 1.87, 1 Fe 1.90, 1 Li 2.05
O 0.9828 0.7311 0.7588  1 V 1.87, 1 Fe 1.90, 1 Li 2.05

Summary:
The space group is P4_322, No. 95. The energy above the most stable polymorph in this dataset is 0.048 eV per atom. The energy with MP2020 corrections is -217.576 eV for the cell shown. As for the total magnetic moment: 24.0 μB/cell. The value obtained for the volume is 295 Å³/cell. Its formation energy is -208.68 kJ/mol of atoms.

---

Entry 2:
Material: MgFe8O8F8
Method: DFT, PBE with a Hubbard U
State: optimized geometry

abc: 3.0736 9.7109 9.8477
angles: 92.60 90.13 90.12
Closest atoms and distances in Å follow each position.
Positions (direct):
Mg 0.0000 0.0000 0.0000  1 F 1.95, 5 O 1.99-2.17
Fe 0.4911 0.4978 0.2536  3 O 1.92-1.94, 3 F 2.13-2.14
Fe 0.4924 0.4889 0.7699  3 O 1.95-1.96, 3 F 2.05-2.17
Fe 0.4990 0.0162 0.2514  3 O 1.95-2.06, 3 F 2.11-2.15
Fe 0.4990 0.0466 0.7348  3 O 1.91-2.00, 1 F 2.09
Fe 0.9852 0.2836 0.0078  3 O 1.93-1.94
Fe 0.9943 0.2736 0.5285  3 O 1.92-1.93, 2 F 2.08-2.15
Fe 0.9962 0.7237 0.0512  1 O 1.91
Fe 0.9958 0.7520 0.5164  6 F 2.07-2.24
O 0.4874 0.3587 0.1053  3 Fe 1.93-1.94
O 0.4949 0.3721 0.6017  3 Fe 1.93-1.96
O 0.4978 0.8819 0.0837  3 Fe 2.06-2.19, 2 Mg 2.10-2.11
O 0.5028 0.1332 0.9234  2 Fe 2.00-2.21, 2 Mg 2.16-2.17
O 0.9913 0.5982 0.1947  3 Fe 1.91-1.92
O 0.9922 0.4036 0.8550  3 Fe 1.94-1.95
O 0.9986 0.1096 0.1753  2 Fe 1.95, 1 Mg 1.99
O 0.9985 0.1275 0.6541  3 Fe 1.91-1.92
F 0.0009 0.9177 0.8157  1 Mg 1.95, 2 Fe 2.15-2.16
F 0.4949 0.6352 0.4296  3 Fe 2.07-2.14
F 0.4950 0.6475 0.9145  3 Fe 2.05-2.15
F 0.4973 0.1593 0.4190  3 Fe 2.11-2.17
F 0.4967 0.8771 0.5954  3 Fe 2.09
F 0.9923 0.3933 0.3591  3 Fe 2.08-2.14
F 0.9940 0.6118 0.6783  3 Fe 2.14-2.17
F 0.9972 0.9060 0.3532  3 Fe 2.14-2.24

Summary:
The space group is P1, No. 1. The energy above the most stable polymorph in this dataset is 0.000 eV per atom. The energy with MP2020 corrections is -177.510 eV for the cell shown. As for the total magnetic moment: 0.0 μB/cell. The value obtained for the volume is 294 Å³/cell. Its formation energy is -205.51 kJ/mol of atoms.

---

Entry 3:
Material: LiMnP4O12
Method: DFT, PBE with a Hubbard U
State: optimized geometry

abc: 6.8976 9.4513 15.7346
angles: 90.00 113.69 90.00
Closest atoms and distances in Å follow each position.
Positions (direct):
Li 0.1465 0.0651 0.1204  3 O 1.95-2.00
Li 0.1465 0.4349 0.6204  3 O 1.95-2.00
Li 0.8535 0.5651 0.3796  3 O 1.95-2.00
Li 0.8535 0.9349 0.8796  3 O 1.95-2.00
Mn 0.2800 0.6698 0.8922  4 O 1.90-1.92
Mn 0.2800 0.8302 0.3922  4 O 1.90-1.92
Mn 0.7200 0.1698 0.6078  4 O 1.90-1.92
Mn 0.7200 0.3302 0.1078  4 O 1.90-1.92
P 0.1479 0.7227 0.0658  4 O 1.47-1.63
P 0.1479 0.7773 0.5658  4 O 1.47-1.63
P 0.1551 0.0529 0.7913  4 O 1.49-1.60
P 0.1551 0.4471 0.2913  4 O 1.49-1.60
P 0.2751 0.2276 0.9652  4 O 1.48-1.62
P 0.2751 0.2724 0.4652  4 O 1.48-1.62
P 0.4762 0.5234 0.2056  4 O 1.47-1.61
P 0.4762 0.9766 0.7056  4 O 1.47-1.61
P 0.5238 0.0234 0.2944  4 O 1.47-1.61
P 0.5238 0.4766 0.7944  4 O 1.47-1.61
P 0.7249 0.7276 0.5348  4 O 1.48-1.62
P 0.7249 0.7724 0.0348  4 O 1.48-1.62
P 0.8449 0.5529 0.7087  4 O 1.49-1.60
P 0.8449 0.9471 0.2087  4 O 1.49-1.60
P 0.8521 0.2227 0.4342  4 O 1.47-1.63
P 0.8521 0.2773 0.9342  4 O 1.47-1.63
O 0.0279 0.6126 0.7915  1 P 1.51
O 0.0279 0.8874 0.2915  1 P 1.51
O 0.0791 0.1628 0.4400  2 P 1.62-1.63
O 0.0791 0.3372 0.9400  2 P 1.62-1.63
O 0.1194 0.5770 0.3369  1 P 1.49
O 0.1194 0.9230 0.8369  1 P 1.49
O 0.1225 0.7204 0.9643  1 P 1.54
O 0.1225 0.7796 0.4643  1 P 1.54
O 0.1999 0.6426 0.6172  1 P 1.47
O 0.1999 0.8574 0.1172  1 P 1.47
O 0.2504 0.1787 0.8644  2 P 1.59-1.60
O 0.2504 0.3213 0.3644  2 P 1.59-1.60
O 0.2688 0.1143 0.0285  1 P 1.48
O 0.2688 0.3857 0.5285  1 P 1.48
O 0.2933 0.5915 0.1148  2 P 1.59-1.61
O 0.2933 0.9085 0.6148  2 P 1.59-1.61
O 0.3471 0.0356 0.7614  2 P 1.58
O 0.3471 0.4644 0.2614  2 P 1.58
O 0.3623 0.1265 0.2389  1 P 1.47
O 0.3623 0.3735 0.7389  1 P 1.47
O 0.4552 0.6086 0.8313  1 P 1.53
O 0.4552 0.8914 0.3313  1 P 1.53
O 0.4700 0.1758 0.4949  1 P 1.53
O 0.4700 0.3242 0.9949  1 P 1.53
O 0.5300 0.6758 0.0051  1 P 1.53
O 0.5300 0.8242 0.5051  1 P 1.53
O 0.5448 0.1086 0.6687  1 P 1.53
O 0.5448 0.3914 0.1687  1 P 1.53
O 0.6377 0.6265 0.2611  1 P 1.47
O 0.6377 0.8735 0.7611  1 P 1.47
O 0.6529 0.5356 0.7386  2 P 1.58
O 0.6529 0.9644 0.2386  2 P 1.58
O 0.7067 0.0915 0.3852  2 P 1.59-1.61
O 0.7067 0.4085 0.8852  2 P 1.59-1.61
O 0.7312 0.6143 0.4715  1 P 1.48
O 0.7312 0.8857 0.9715  1 P 1.48
O 0.7496 0.6787 0.6356  2 P 1.59-1.60
O 0.7496 0.8213 0.1356  2 P 1.59-1.60
O 0.8001 0.1426 0.8828  1 P 1.47
O 0.8001 0.3574 0.3828  1 P 1.47
O 0.8775 0.2204 0.5357  1 P 1.54
O 0.8775 0.2796 0.0357  1 P 1.54
O 0.8806 0.0770 0.1631  1 P 1.49
O 0.8806 0.4230 0.6631  1 P 1.49
O 0.9209 0.6628 0.0600  2 P 1.62-1.63
O 0.9209 0.8372 0.5600  2 P 1.62-1.63
O 0.9721 0.1126 0.7085  1 P 1.51
O 0.9721 0.3874 0.2085  1 P 1.51

Summary:
The space group is P2_1/c, No. 14. The energy above the most stable polymorph in this dataset is 0.068 eV per atom. The energy with MP2020 corrections is -548.942 eV for the cell shown. As for the total magnetic moment: 16.0 μB/cell. The value obtained for the volume is 939 Å³/cell. Its formation energy is -241.94 kJ/mol of atoms.

---

Entry 4:
Material: LiCdFeF6
Method: DFT, PBE with a Hubbard U
State: optimized geometry

abc: 5.2200 5.2200 9.7041
angles: 90.00 90.00 120.00
Closest atoms and distances in Å follow each position.
Positions (direct):
Li 0.3333 0.6667 0.2500  6 F 2.05
Li 0.6667 0.3333 0.7500  6 F 2.05
Cd 0.0000 0.0000 0.0000  6 F 2.28
Cd 0.0000 0.0000 0.5000  6 F 2.28
Fe 0.3333 0.6667 0.7500  6 F 1.96
Fe 0.6667 0.3333 0.2500  6 F 1.96
F 0.0141 0.3606 0.8614  1 Fe 1.96, 1 Li 2.05
F 0.0141 0.6535 0.6386  1 Fe 1.96, 1 Li 2.05
F 0.3465 0.3606 0.6386  1 Fe 1.96, 1 Li 2.05
F 0.3465 0.9859 0.8614  1 Fe 1.96, 1 Li 2.05
F 0.3606 0.0141 0.3614  1 Fe 1.96, 1 Li 2.05
F 0.3606 0.3465 0.1386  1 Fe 1.96, 1 Li 2.05
F 0.6394 0.6535 0.8614  1 Fe 1.96, 1 Li 2.05
F 0.6394 0.9859 0.6386  1 Fe 1.96, 1 Li 2.05
F 0.6535 0.0141 0.1386  1 Fe 1.96, 1 Li 2.05
F 0.6535 0.6394 0.3614  1 Fe 1.96, 1 Li 2.05
F 0.9859 0.3465 0.3614  1 Fe 1.96, 1 Li 2.05
F 0.9859 0.6394 0.1386  1 Fe 1.96, 1 Li 2.05

Summary:
The space group is P-31c, No. 163. The energy with MP2020 corrections is -94.683 eV for the cell shown. As for the total magnetic moment: 10.0 μB/cell. The value obtained for the volume is 229 Å³/cell. Its formation energy is -263.21 kJ/mol of atoms.

---

Entry 5:
Material: NaNbWO6
Method: DFT, PBE with a Hubbard U
State: optimized geometry

abc: 7.4270 7.4270 7.4270
angles: 120.13 119.88 89.99
Closest atoms and distances in Å follow each position.
Positions (direct):
Na 0.0000 0.0000 0.0000  6 O 2.64-2.69
Na 0.5000 0.0000 0.5000  6 O 2.64-2.69
Nb 0.5000 0.0000 0.0000  6 O 2.00
Nb 0.5000 0.5000 0.5000  6 O 2.00
W 0.0000 0.5000 0.5000  6 O 1.93-1.95
W 0.5000 0.5000 0.0000  6 O 1.93-1.95
O 0.1829 0.4344 0.3756  1 W 1.93, 1 Nb 2.00
O 0.1829 0.8073 0.7485  1 W 1.93, 1 Nb 2.00
O 0.1935 0.4435 0.7500  2 W 1.95
O 0.4290 0.1790 0.2500  2 Nb 2.00
O 0.4412 0.1927 0.8756  1 W 1.93, 1 Nb 2.00
O 0.4412 0.5656 0.2485  1 W 1.93, 1 Nb 2.00
O 0.5588 0.4344 0.7515  1 W 1.93, 1 Nb 2.00
O 0.5588 0.8073 0.1244  1 W 1.93, 1 Nb 2.00
O 0.5710 0.8210 0.7500  2 Nb 2.00
O 0.8065 0.5565 0.2500  2 W 1.95
O 0.8171 0.1927 0.2515  1 W 1.93, 1 Nb 2.00
O 0.8171 0.5656 0.6244  1 W 1.93, 1 Nb 2.00

Summary:
The space group is Imma, No. 74. The energy with MP2020 corrections is -153.808 eV for the cell shown. As for the total magnetic moment: 0.0 μB/cell. The value obtained for the volume is 290 Å³/cell. Its formation energy is -244.80 kJ/mol of atoms.

---

Entry 6:
Material: Li4Mn2Ni3O10
Method: DFT, PBE with a Hubbard U
State: optimized geometry

abc: 5.0425 5.0947 7.6573
angles: 101.49 108.85 100.97
Closest atoms and distances in Å follow each position.
Positions (direct):
Li 0.0833 0.2694 0.0904  6 O 2.07-2.21
Li 0.3008 0.8952 0.2807  5 O 1.99-2.14
Li 0.6992 0.1048 0.7193  5 O 1.99-2.14
Li 0.9167 0.7306 0.9096  6 O 2.07-2.21
Mn 0.3017 0.4015 0.8080  6 O 1.88-2.00
Mn 0.6983 0.5985 0.1920  6 O 1.88-2.00
Ni 0.1066 0.8039 0.6032  6 O 1.99-2.11
Ni 0.5000 0.5000 0.5000  4 O 1.91-1.97
Ni 0.8934 0.1961 0.3968  6 O 1.99-2.11
O 0.0813 0.5528 0.3487  1 Mn 2.00, 3 Ni 2.04-2.15, 2 Li 2.13-2.21
O 0.0999 0.0671 0.8312  1 Mn 1.88, 3 Li 1.99-2.08, 1 Ni 1.99
O 0.2991 0.1786 0.5603  3 Ni 1.97-2.11, 1 Mn 2.00, 1 Li 2.14
O 0.3154 0.6129 0.0457  2 Mn 1.89-1.92, 2 Li 2.07-2.10
O 0.4812 0.7177 0.7280  2 Ni 1.91-2.00, 1 Mn 2.00, 1 Li 2.09
O 0.5188 0.2823 0.2720  2 Ni 1.91-2.00, 1 Mn 2.00, 1 Li 2.09
O 0.6846 0.3871 0.9543  2 Mn 1.89-1.92, 2 Li 2.07-2.10
O 0.7009 0.8214 0.4397  3 Ni 1.97-2.11, 1 Mn 2.00, 1 Li 2.14
O 0.9001 0.9329 0.1688  1 Mn 1.88, 3 Li 1.99-2.08, 1 Ni 1.99
O 0.9187 0.4472 0.6513  1 Mn 2.00, 3 Ni 2.04-2.15, 2 Li 2.13-2.21

Summary:
The space group is P-1, No. 2. The energy with MP2020 corrections is -125.153 eV for the cell shown. As for the total magnetic moment: 10.0 μB/cell. The value obtained for the volume is 175 Å³/cell. Its formation energy is -164.40 kJ/mol of atoms.